Arrangement P

First-principles (PBE-GGA) data for a geometry-optimized PCF3 structure, as listed in Materials Project.

a = 11.3811 Å, b = 11.3811 Å, c = 6.3468 Å
α = 90.00°, β = 90.00°, γ = 90.00°
Atoms (fractional coordinates):
1 P 0.0411 0.7500 0.1747
2 P 0.2500 0.5411 0.3253
3 P 0.2500 0.9589 0.3253
4 P 0.4589 0.7500 0.1747
5 P 0.5411 0.2500 0.8253
6 P 0.7500 0.0411 0.6747
7 P 0.7500 0.4589 0.6747
8 P 0.9589 0.2500 0.8253
9 C 0.0065 0.2500 0.5539
10 C 0.2500 0.0065 0.0539
11 C 0.2500 0.4935 0.0539
12 C 0.4935 0.2500 0.5539
13 C 0.5065 0.7500 0.4461
14 C 0.7500 0.5065 0.9461
15 C 0.7500 0.9935 0.9461
16 C 0.9935 0.7500 0.4461
17 F 0.0387 0.1449 0.9159
18 F 0.0387 0.3551 0.9159
19 F 0.0668 0.7500 0.6081
20 F 0.1449 0.0387 0.4159
21 F 0.1449 0.4613 0.4159
22 F 0.2500 0.5668 0.8919
23 F 0.2500 0.9332 0.8919
24 F 0.3551 0.0387 0.4159
25 F 0.3551 0.4613 0.4159
26 F 0.4332 0.7500 0.6081
27 F 0.4613 0.1449 0.9159
28 F 0.4613 0.3551 0.9159
29 F 0.5387 0.6449 0.0841
30 F 0.5387 0.8551 0.0841
31 F 0.5668 0.2500 0.3919
32 F 0.6449 0.5387 0.5841
33 F 0.6449 0.9613 0.5841
34 F 0.7500 0.0668 0.1081
35 F 0.7500 0.4332 0.1081
36 F 0.8551 0.5387 0.5841
37 F 0.8551 0.9613 0.5841
38 F 0.9332 0.2500 0.3919
39 F 0.9613 0.6449 0.0841
40 F 0.9613 0.8551 0.0841

Values from the calculation:
Size of the total moment   0.0 Bohr magnetons per cell

=====

Arrangement Q

First-principles (PBE-GGA) data for a geometry-optimized PCF3 structure, as listed in Materials Project.

a = 10.0755 Å, b = 9.9997 Å, c = 17.7162 Å
α = 90.00°, β = 110.82°, γ = 90.00°
Atoms (fractional coordinates):
1 P 0.0856 0.2393 0.2033
2 P 0.0856 0.2607 0.7033
3 P 0.1654 0.0655 0.7638
4 P 0.1654 0.4345 0.2638
5 P 0.1674 0.2351 0.1012
6 P 0.1674 0.2649 0.6012
7 P 0.3339 0.5069 0.2208
8 P 0.3339 0.9931 0.7208
9 P 0.3833 0.1854 0.6745
10 P 0.3833 0.3146 0.1745
11 P 0.6167 0.6854 0.8255
12 P 0.6167 0.8146 0.3255
13 P 0.6661 0.0069 0.2792
14 P 0.6661 0.4931 0.7792
15 P 0.8326 0.7351 0.3988
16 P 0.8326 0.7649 0.8988
17 P 0.8346 0.5655 0.7362
18 P 0.8346 0.9345 0.2362
19 P 0.9144 0.7393 0.2967
20 P 0.9144 0.7607 0.7967
21 C 0.1010 0.6983 0.8585
22 C 0.1010 0.8017 0.3585
23 C 0.2125 0.6096 0.1311
24 C 0.2125 0.8904 0.6311
25 C 0.2192 0.0494 0.1159
26 C 0.2192 0.4506 0.6159
27 C 0.2876 0.1372 0.8644
28 C 0.2876 0.3628 0.3644
29 C 0.4456 0.1254 0.5897
30 C 0.4456 0.3746 0.0897
31 C 0.5544 0.6254 0.9103
32 C 0.5544 0.8746 0.4103
33 C 0.7124 0.6372 0.6356
34 C 0.7124 0.8628 0.1356
35 C 0.7808 0.5494 0.3841
36 C 0.7808 0.9506 0.8841
37 C 0.7875 0.1096 0.3689
38 C 0.7875 0.3904 0.8689
39 C 0.8990 0.1983 0.6415
40 C 0.8990 0.3017 0.1415
41 F 0.0979 0.5250 0.5866
42 F 0.0979 0.9750 0.0866
43 F 0.1114 0.5789 0.8968
44 F 0.1114 0.9211 0.3968
45 F 0.1169 0.5400 0.0698
46 F 0.1169 0.9600 0.5698
47 F 0.1383 0.6996 0.1583
48 F 0.1383 0.8004 0.6583
49 F 0.1666 0.7080 0.4156
50 F 0.1666 0.7920 0.9156
51 F 0.1763 0.6872 0.8081
52 F 0.1763 0.8128 0.3081
53 F 0.2051 0.1930 0.9027
54 F 0.2051 0.3070 0.4027
55 F 0.2903 0.0072 0.1931
56 F 0.2903 0.4928 0.6931
57 F 0.2962 0.6799 0.0995
58 F 0.2962 0.8201 0.5995
59 F 0.3018 0.0189 0.0718
60 F 0.3018 0.4811 0.5718
61 F 0.3456 0.0703 0.5239
62 F 0.3456 0.4297 0.0239
63 F 0.3642 0.0366 0.9116
64 F 0.3642 0.4634 0.4116
65 F 0.3814 0.2329 0.8603
66 F 0.3814 0.2671 0.3603
67 F 0.4490 0.5335 0.8796
68 F 0.4490 0.9665 0.3796
69 F 0.4985 0.7322 0.9367
70 F 0.4985 0.7678 0.4367
71 F 0.5015 0.2322 0.5633
72 F 0.5015 0.2678 0.0633
73 F 0.5510 0.0335 0.6204
74 F 0.5510 0.4665 0.1204
75 F 0.6186 0.7329 0.6397
76 F 0.6186 0.7671 0.1397
77 F 0.6358 0.5366 0.5884
78 F 0.6358 0.9634 0.0884
79 F 0.6544 0.5703 0.9761
80 F 0.6544 0.9297 0.4761
81 F 0.6982 0.5189 0.4282
82 F 0.6982 0.9811 0.9282
83 F 0.7038 0.1799 0.4005
84 F 0.7038 0.3201 0.9005
85 F 0.7097 0.5072 0.3069
86 F 0.7097 0.9928 0.8069
87 F 0.7949 0.6930 0.5973
88 F 0.7949 0.8070 0.0973
89 F 0.8237 0.1872 0.6919
90 F 0.8237 0.3128 0.1919
91 F 0.8334 0.2080 0.0844
92 F 0.8334 0.2920 0.5844
93 F 0.8617 0.1996 0.3417
94 F 0.8617 0.3004 0.8417
95 F 0.8831 0.0400 0.4302
96 F 0.8831 0.4600 0.9302
97 F 0.8886 0.0789 0.6032
98 F 0.8886 0.4211 0.1032
99 F 0.9021 0.0250 0.9134
100 F 0.9021 0.4750 0.4134

Values from the calculation:
Size of the total moment   0.0 Bohr magnetons per cell

=====

Most stable: arrangement Q

=====

Arrangement P

First-principles (PBE-GGA) data for a geometry-optimized Fe2C3N6 structure, as listed in Materials Project.

a = 9.7244 Å, b = 9.7244 Å, c = 9.7244 Å
α = 31.44°, β = 31.44°, γ = 31.44°
Atoms (fractional coordinates):
1 Fe 0.1656 0.1656 0.1656
2 Fe 0.3344 0.3344 0.3344
3 Fe 0.6656 0.6656 0.6656
4 Fe 0.8344 0.8344 0.8344
5 C 0.0725 0.7500 0.4275
6 C 0.2500 0.5725 0.9275
7 C 0.4275 0.0725 0.7500
8 C 0.5725 0.9275 0.2500
9 C 0.7500 0.4275 0.0725
10 C 0.9275 0.2500 0.5725
11 N 0.0458 0.6559 0.4174
12 N 0.0826 0.8441 0.4542
13 N 0.1559 0.5458 0.9174
14 N 0.3441 0.5826 0.9542
15 N 0.4174 0.0458 0.6559
16 N 0.4542 0.0826 0.8441
17 N 0.5458 0.9174 0.1559
18 N 0.5826 0.9541 0.3441
19 N 0.6559 0.4174 0.0458
20 N 0.8441 0.4541 0.0826
21 N 0.9174 0.1559 0.5458
22 N 0.9542 0.3441 0.5826

Values from the calculation:
Size of the total moment   4.0 Bohr magnetons per cell

=====

Arrangement Q

First-principles (PBE-GGA) data for a geometry-optimized Fe2C3N6 structure, as listed in Materials Project.

a = 5.6514 Å, b = 5.6514 Å, c = 5.6514 Å
α = 55.10°, β = 55.10°, γ = 55.10°
Atoms (fractional coordinates):
1 Fe 0.1719 0.1719 0.1719
2 Fe 0.8281 0.8281 0.8281
3 C 0.0000 0.6900 0.3100
4 C 0.3100 0.0000 0.6900
5 C 0.6900 0.3100 0.0000
6 N 0.0112 0.8191 0.4192
7 N 0.1809 0.9888 0.5808
8 N 0.4192 0.0112 0.8191
9 N 0.5808 0.1809 0.9888
10 N 0.8191 0.4192 0.0112
11 N 0.9888 0.5808 0.1809

Values from the calculation:
Size of the total moment   1.9 Bohr magnetons per cell

=====

Most stable: arrangement P

=====

Arrangement P

First-principles (PBE-GGA) data for a geometry-optimized Mg6GaC structure, as listed in Materials Project.

a = 4.6593 Å, b = 5.9333 Å, c = 11.3990 Å
α = 90.00°, β = 90.00°, γ = 90.00°
Atoms (fractional coordinates):
1 Mg 0.5000 0.5000 0.6699
2 Mg 0.0000 0.7734 0.6042
3 Mg 0.5000 0.7533 0.9240
4 Mg 0.0000 0.2734 0.1042
5 Mg 0.5000 0.2467 0.9240
6 Mg 0.0000 0.2266 0.6042
7 Mg 0.5000 0.2533 0.4240
8 Mg 0.0000 0.0000 0.3361
9 Mg 0.0000 0.5000 0.8361
10 Mg 0.5000 0.0000 0.1699
11 Mg 0.0000 0.7266 0.1042
12 Mg 0.5000 0.7467 0.4240
13 Ga 0.0000 0.0000 0.8688
14 Ga 0.0000 0.5000 0.3688
15 C 0.5000 0.0000 0.5687
16 C 0.5000 0.5000 0.0687

Values from the calculation:
Size of the total moment   0.0 Bohr magnetons per cell

=====

Arrangement Q

First-principles (PBE-GGA) data for a geometry-optimized Mg6GaC structure, as listed in Materials Project.

a = 3.8272 Å, b = 8.3272 Å, c = 9.5672 Å
α = 90.00°, β = 90.00°, γ = 90.00°
Atoms (fractional coordinates):
1 Mg 0.0000 0.0000 0.0000
2 Mg 0.0000 0.0000 0.4294
3 Mg 0.0000 0.1765 0.7039
4 Mg 0.0000 0.3235 0.2039
5 Mg 0.0000 0.5000 0.5000
6 Mg 0.0000 0.5000 0.9294
7 Mg 0.0000 0.6765 0.2039
8 Mg 0.0000 0.8235 0.7039
9 Mg 0.5000 0.2419 0.4651
10 Mg 0.5000 0.2581 0.9651
11 Mg 0.5000 0.7419 0.9651
12 Mg 0.5000 0.7581 0.4651
13 Ga 0.5000 0.0000 0.2072
14 Ga 0.5000 0.5000 0.7072
15 C 0.5000 0.0000 0.5792
16 C 0.5000 0.5000 0.0792

Values from the calculation:
Size of the total moment   0.0 Bohr magnetons per cell

=====

Most stable: arrangement Q